Arrangement A

! Mg3MoN4 | Materials Project | PBE-GGA | relaxed; values from VASP
! Magnetization, μB per formula unit: 0.00
! Symmetry: P-1
! ρ, g cm⁻³: 4.45
&SYSTEM
  ibrav = 0, nat = 16, ntyp = 3
/
ATOMIC_SPECIES
Mg 24.30 Mg.upf
Mo 95.94 Mo.upf
N 14.01 N.upf
ATOMIC_POSITIONS angstrom
Mg -1.9614 4.0923 3.8372
Mg -4.4491 5.7071 2.6679
Mg -4.1787 7.6668 4.9777
Mg -2.2317 2.1326 1.5274
Mg -4.6345 2.8221 3.3694
Mg -1.7759 6.9774 3.1357
Mo -2.2248 4.8896 0.6508
Mo -4.1857 4.9099 5.8544
N -3.3771 2.9731 5.1390
N -3.0334 6.8264 1.3661
N -3.2810 3.9872 2.0181
N -3.1294 5.8123 4.4870
N -5.3595 6.4026 6.2623
N -1.0509 3.3969 0.2428
N -3.0086 5.0083 7.3063
N -3.4018 4.7912 -0.8011
CELL_PARAMETERS angstrom
-2.2610 4.4914 -1.7865
-4.7797 1.1886 3.6681
0.6303 4.1195 4.6236

Arrangement B

! Mg3MoN4 | Materials Project | PBE-GGA | relaxed; values from VASP
! Magnetization, μB per formula unit: 0.00
! Symmetry: P31c
! ρ, g cm⁻³: 3.40
&SYSTEM
  ibrav = 0, nat = 144, ntyp = 3
/
ATOMIC_SPECIES
Mg 24.30 Mg.upf
Mo 95.94 Mo.upf
N 14.01 N.upf
ATOMIC_POSITIONS angstrom
Mg 0.0775 -2.1164 8.3289
Mg -8.2896 1.7243 12.4843
Mg -7.5942 -8.2095 10.7894
Mg -0.2965 2.3657 4.1887
Mg -9.1714 4.7806 8.3636
Mg -2.3682 11.9938 6.4341
Mg -8.0940 -1.9504 3.9973
Mg -3.2380 6.1505 7.9653
Mg -2.5366 12.4331 3.3475
Mg -10.8234 6.0417 6.0336
Mg -1.9378 1.7883 1.5964
Mg -8.0290 -8.5183 7.7131
Mg -10.3869 1.7351 10.1714
Mg -0.8518 -0.6947 5.7093
Mg -8.6540 -4.9415 5.5242
Mg -4.7084 -1.7139 4.2721
Mg -9.0874 0.2097 6.4344
Mg -1.7681 8.8582 9.4142
Mg -0.7618 3.8340 8.2750
Mg -5.3520 5.1645 10.4454
Mg -5.9800 -5.8937 11.1379
Mg -2.2062 -2.2464 10.0188
Mg -6.8448 -0.7132 12.2388
Mg -2.5783 9.1883 6.8526
Mg -1.9691 3.9509 5.8551
Mg -6.5134 5.7493 8.0714
Mg -1.5021 15.2632 4.7151
Mg -9.0044 -11.3310 9.1579
Mg -5.0192 -4.5861 6.1092
Mg -5.7393 0.4075 7.1209
Mg -9.4281 -3.0016 8.2370
Mg 0.8288 6.2996 10.0391
Mg -2.8768 2.9117 11.1656
Mg -3.5706 7.9110 12.1665
Mg -6.1987 -2.5655 8.3820
Mg -4.8753 6.6819 4.1766
Mg -1.9639 -3.7636 5.9121
Mg -7.3519 2.2968 9.0904
Mg -9.7880 -6.0646 8.9701
Mg -0.8580 4.8731 1.7150
Mg -8.8361 3.6620 4.9929
Mg -5.4396 11.6750 4.6485
Mg -3.5511 -4.7214 8.5354
Mg -4.9800 0.2691 9.8532
Mg -8.3457 -3.8021 10.7366
Mg -1.4597 6.6819 4.3004
Mg -5.7100 3.7519 5.7266
Mg -5.7369 9.0539 6.4818
Mg -1.5057 0.8024 9.1769
Mg 1.4349 9.3050 9.0975
Mg -6.7298 7.3985 12.3609
Mg -3.3608 1.1263 5.0936
Mg -6.4573 -7.3197 5.2461
Mg -11.5504 -0.6031 8.3915
Mo -3.4495 -1.6587 7.2394
Mo -8.2056 -0.4474 9.4651
Mo -7.0292 -5.5617 8.2385
Mo -3.3281 4.2141 3.0801
Mo -7.7598 6.3362 5.2934
Mo -3.6262 9.5239 3.9532
Mo -10.8586 2.5311 7.4475
Mo -9.7530 -7.8303 5.5157
Mo -1.9224 -1.1195 3.0734
Mo -8.1830 4.5107 11.4992
Mo -0.7937 11.7902 9.3261
Mo 1.0110 1.5836 7.1153
Mo -6.3525 -4.4649 3.1416
Mo -6.7531 0.9280 4.0712
Mo -10.9079 -2.4009 5.3997
Mo -0.3066 6.9765 7.0639
Mo -4.0177 3.0754 8.1207
Mo -5.1214 8.3121 9.3320
N -6.5499 -7.0947 7.3845
N -2.6177 -0.1477 6.6607
N -9.9805 -0.2747 9.8260
N -2.2931 10.3876 3.0664
N -3.6437 2.5040 2.5455
N -9.2411 7.3331 5.6430
N 0.2230 0.0534 7.9912
N 1.1129 11.5049 9.2122
N -8.4950 6.0646 12.6025
N -1.5581 0.5849 3.9050
N -8.0963 -8.8173 5.4114
N -12.0731 1.5516 8.5854
N -4.1062 -2.7496 5.8703
N -7.6721 0.3086 7.8405
N -8.5185 -4.7034 7.5028
N 0.3733 4.2944 9.8529
N -4.3057 4.2275 11.8657
N -1.7964 8.6362 11.3992
N -1.6038 -2.3523 4.3984
N -9.3136 2.6625 8.4337
N -9.8591 -7.2992 7.2718
N 2.0484 2.3692 8.4127
N -7.0604 3.4563 12.5018
N -1.1965 11.4885 11.0935
N -6.6145 -5.2084 4.8488
N -5.3122 0.2154 5.0470
N -10.2616 -1.5373 6.9402
N -0.0249 7.7594 8.7503
N -2.4423 2.7402 9.0913
N -5.1532 7.2721 10.8985
N -11.3582 4.2810 7.0890
N 0.1765 1.7003 1.7417
N -2.9640 13.9064 4.8124
N -9.6792 3.4626 11.1791
N 0.8434 -1.9595 5.8707
N -9.2787 -9.3536 9.2096
N -5.5353 -4.4041 8.1453
N -4.8893 -1.0960 8.3304
N -7.8407 -2.3037 9.4365
N -3.2012 7.6809 3.9011
N -4.7900 4.7148 4.1720
N -6.3039 7.5426 5.2229
N -10.4692 1.7532 5.7381
N -9.9144 -6.3021 4.3681
N -3.6889 -1.3700 2.3696
N -7.4043 4.8256 9.7750
N -1.8946 10.6807 8.2146
N -0.2056 2.8771 6.3904
N -2.1319 -2.8345 8.0558
N -7.1942 0.6307 10.7299
N -7.6912 -6.0049 10.0134
N -1.5569 4.3117 3.8791
N -7.6466 4.8926 6.5927
N -3.8436 10.3288 5.7110
N -6.9163 10.5288 5.5600
N -7.0618 2.6846 4.5225
N -0.6895 6.8455 2.3522
N -10.1998 -4.2213 9.8407
N -5.3633 1.9209 8.6119
N -3.0746 -5.3823 6.5984
N -6.3722 -2.5435 3.1891
N -8.3874 -0.0242 4.4134
N -9.5020 -3.2899 4.4365
N -1.5360 5.5019 7.1578
N -4.6792 4.8542 8.4255
N -3.4785 8.0886 8.3597
N -4.1419 -6.1623 10.1148
N -2.9029 -0.2808 10.4043
N -8.1919 -2.3432 12.4007
N -0.9931 8.2097 5.8392
N -3.7481 2.8783 6.2822
N -6.5255 7.8672 8.1821
CELL_PARAMETERS angstrom
-2.1916 15.4873 3.1192
-11.4605 -10.5342 3.4753
3.5326 -1.1465 8.1735

Unit: kJ/mol of atoms. Relative energies: arrangement A 0.0; arrangement B 10.5.

Arrangement A

! Mg3MoN4 | Materials Project | PBE-GGA | relaxed; values from VASP
! Symmetry: Pmn2_1
! Maximum piezoelectric response, C/m²: 2.35
! ρ, g cm⁻³: 3.56
&SYSTEM
  ibrav = 0, nat = 16, ntyp = 3
/
ATOMIC_SPECIES
Mg 24.30 Mg.upf
Mo 95.94 Mo.upf
N 14.01 N.upf
ATOMIC_POSITIONS angstrom
Mg 1.7093 0.9917 4.5350
Mg 5.0668 0.9917 4.5350
Mg 1.6788 4.8678 1.8900
Mg 5.0974 4.8678 1.8900
Mg 0.0000 3.8713 4.5397
Mg 3.3881 1.9882 1.8947
Mo 0.0000 1.9284 1.8485
Mo 3.3881 3.9311 4.4935
N 0.0000 3.7239 2.4142
N 3.3881 2.1356 5.0592
N 0.0000 1.9127 5.2750
N 3.3881 3.9468 2.6299
N 5.2099 1.0372 2.4174
N 1.5662 1.0372 2.4174
N 4.9543 4.8223 5.0624
N 1.8218 4.8223 5.0624
CELL_PARAMETERS angstrom
6.7762 0.0000 0.0000
0.0000 5.8595 0.0000
0.0000 0.0000 5.2900

Arrangement B

! Mg3MoN4 | Materials Project | PBE-GGA | relaxed; values from VASP
! Magnetization, μB per formula unit: 0.00
! Symmetry: C2/m
! ρ, g cm⁻³: 3.73
&SYSTEM
  ibrav = 0, nat = 16, ntyp = 3
/
ATOMIC_SPECIES
Mg 24.30 Mg.upf
Mo 95.94 Mo.upf
N 14.01 N.upf
ATOMIC_POSITIONS angstrom
Mg 3.5122 1.6648 1.0194
Mg 5.6342 -1.6648 5.0420
Mg 5.6342 1.6648 5.0420
Mg 3.5122 -1.6648 1.0194
Mg 1.0293 0.0000 1.9654
Mg 8.1170 0.0000 4.0960
Mo 6.1474 0.0000 1.9959
Mo 2.9990 0.0000 4.0655
N 1.0952 0.0000 4.1416
N 8.0512 0.0000 1.9198
N 3.4181 -1.6113 4.9727
N 5.7283 1.6113 1.0887
N 5.7283 -1.6113 1.0887
N 3.4181 1.6113 4.9727
N 3.2571 0.0000 2.2242
N 5.8893 0.0000 3.8372
CELL_PARAMETERS angstrom
4.6042 -3.5860 -0.0044
4.6042 3.5860 -0.0044
-0.0620 0.0000 6.0703

Unit: kJ/mol of atoms. Relative energies: arrangement A 0.0; arrangement B 3.4.

Arrangement A

! NaMg14Mo | Materials Project | PBE-GGA | relaxed; values from VASP
! Magnetization, μB per formula unit: 0.50
! Symmetry: Amm2
! ρ, g cm⁻³: 2.14
&SYSTEM
  ibrav = 0, nat = 16, ntyp = 3
/
ATOMIC_SPECIES
Na 22.99 Na.upf
Mg 24.30 Mg.upf
Mo 95.94 Mo.upf
ATOMIC_POSITIONS angstrom
Na -0.0257 1.8690 1.2527
Mg -0.0072 1.8797 6.2633
Mg -1.6546 4.6964 6.2633
Mg 3.1456 1.8210 1.2527
Mg 3.1326 1.8329 6.2633
Mg 1.5184 4.6395 1.2527
Mg 1.5222 4.6223 6.2633
Mg 1.5744 0.8204 3.6772
Mg 1.5744 0.8204 8.8494
Mg -0.1338 3.7791 3.6772
Mg -0.1338 3.7791 8.8494
Mg 4.7152 0.8384 3.8031
Mg 4.7152 0.8384 8.7234
Mg 3.1649 3.7111 3.6465
Mg 3.1649 3.7111 8.8800
Mo -1.5938 4.7315 1.2527
CELL_PARAMETERS angstrom
6.3479 -0.1028 0.0000
-3.2630 5.6517 0.0000
0.0000 0.0000 10.0212

Arrangement B

! NaMg14Mo | Materials Project | PBE-GGA | relaxed; values from VASP
! Magnetization, μB per formula unit: 0.41
! Symmetry: P-6m2
! ρ, g cm⁻³: 2.16
&SYSTEM
  ibrav = 0, nat = 16, ntyp = 3
/
ATOMIC_SPECIES
Na 22.99 Na.upf
Mg 24.30 Mg.upf
Mo 95.94 Mo.upf
ATOMIC_POSITIONS angstrom
Na 0.4281 -1.7932 1.2523
Mg 2.7470 -2.6998 3.2571
Mg -0.6420 -4.9527 6.1580
Mg -0.3955 -3.6769 -1.1955
Mg -3.7650 -5.9658 1.6999
Mg 1.9479 -4.5756 0.8443
Mg -1.4515 -6.8530 3.7136
Mg -2.3601 -3.3118 1.3184
Mg -5.5845 -5.4763 4.0691
Mg -0.1043 -4.1769 3.2818
Mg -3.3287 -6.3414 6.0325
Mg -3.1898 -5.2594 -1.1868
Mg -6.4142 -7.4240 1.5638
Mg -0.7871 -6.0448 0.7752
Mg -4.1966 -8.3337 3.6838
Mo -2.9579 -4.0662 4.1408
CELL_PARAMETERS angstrom
-1.6172 -3.7963 -4.8831
4.6323 -1.7765 4.0321
-6.7719 -4.5461 5.7770

Unit: kJ/mol of atoms. Relative energies: arrangement A 1.6; arrangement B 0.0.

Arrangement A

! NaMg6Mo | Materials Project | PBE-GGA | relaxed; values from VASP
! Magnetization, μB per formula unit: 0.00
! Symmetry: P4/mmm
! ρ, g cm⁻³: 2.56
&SYSTEM
  ibrav = 0, nat = 8, ntyp = 3
/
ATOMIC_SPECIES
Na 22.99 Na.upf
Mg 24.30 Mg.upf
Mo 95.94 Mo.upf
ATOMIC_POSITIONS angstrom
Na 2.4085 -1.5760 4.0222
Mg -0.5634 -0.6018 3.7305
Mg 3.3047 0.5072 1.8487
Mg 4.1589 -2.4601 1.4518
Mg -0.0073 -3.6546 3.4786
Mg 0.9579 -1.4108 1.1376
Mg 3.1937 -4.7038 3.7928
Mo 0.3327 1.4814 1.5570
CELL_PARAMETERS angstrom
-1.7923 -4.1663 4.3469
5.9439 -1.9483 0.5834
0.6655 2.9627 3.1140

Arrangement B

! NaMg6Mo | Materials Project | PBE-GGA | relaxed; values from VASP
! Magnetization, μB per formula unit: 1.25
! ρ, g cm⁻³: 2.54
&SYSTEM
  ibrav = 0, nat = 16, ntyp = 3
/
ATOMIC_SPECIES
Na 22.99 Na.upf
Mg 24.30 Mg.upf
Mo 95.94 Mo.upf
ATOMIC_POSITIONS angstrom
Na 4.3972 -1.8671 0.5549
Na 8.0696 2.4576 3.2053
Mg 1.5130 -1.2520 -0.0356
Mg 2.5931 -3.9100 -0.7168
Mg 9.2268 -0.3962 2.4733
Mg 8.7805 0.4097 5.4396
Mg 9.9343 -2.4299 4.7119
Mg 6.9117 -1.7549 4.1043
Mg 7.5043 -2.6336 1.1525
Mg 6.2656 0.4147 1.9337
Mg 3.2355 0.9854 1.2852
Mg 5.1080 -3.9151 2.7891
Mg 3.9431 -1.0482 3.5238
Mg 0.9205 -0.3733 2.9162
Mo 1.9694 -3.2601 2.1412
Mo 5.6419 1.0646 4.7916
CELL_PARAMETERS angstrom
-1.3019 -1.7038 4.5840
2.3188 -5.7064 -1.4624
9.6637 2.9431 3.8385

Unit: kJ/mol of atoms. Relative energies: arrangement A 0.0; arrangement B 10.0.

Arrangement A

! Mg6NbMo | Materials Project | PBE-GGA | relaxed; values from VASP
! Magnetization, μB per formula unit: 0.02
! ρ, g cm⁻³: 3.49
&SYSTEM
  ibrav = 0, nat = 16, ntyp = 3
/
ATOMIC_SPECIES
Mg 24.30 Mg.upf
Nb 92.91 Nb.upf
Mo 95.94 Mo.upf
ATOMIC_POSITIONS angstrom
Mg -1.0188 0.0929 1.4483
Mg -2.5451 -1.1416 3.5966
Mg -0.8634 3.2906 1.2774
Mg -5.4191 2.3139 3.5539
Mg -3.8823 3.5568 1.3908
Mg -2.4082 1.7047 -0.7314
Mg -3.9033 3.7707 5.6020
Mg -2.2627 5.0977 3.2927
Mg -3.7480 6.9684 5.4312
Mg -5.1367 8.5532 3.2500
Mg -6.7669 7.2346 5.5445
Mg -5.2928 5.3825 3.4223
Nb -2.3907 1.7957 3.4231
Nb -2.1083 8.0349 3.1192
Mo -4.0439 0.6230 1.5746
Mo -3.7615 6.8622 1.2708
CELL_PARAMETERS angstrom
-3.9332 0.0431 -2.7696
-3.1670 -2.5614 4.4576
-2.6022 9.9171 3.8498

Arrangement B

! Mg6NbMo | Materials Project | PBE-GGA | relaxed; values from VASP
! Magnetization, μB per formula unit: 0.00
! ρ, g cm⁻³: 3.50
&SYSTEM
  ibrav = 0, nat = 16, ntyp = 3
/
ATOMIC_SPECIES
Mg 24.30 Mg.upf
Nb 92.91 Nb.upf
Mo 95.94 Mo.upf
ATOMIC_POSITIONS angstrom
Mg 2.4900 1.4379 4.6826
Mg 2.4900 4.3213 4.6826
Mg 0.0000 4.2998 0.9545
Mg 0.0000 1.4594 0.9545
Mg 0.0000 0.0000 3.5391
Mg 0.0000 2.8796 3.4937
Mg 2.4900 4.3175 10.2156
Mg 2.4900 1.4417 10.2156
Mg 0.0000 1.4202 6.4875
Mg 0.0000 4.3390 6.4875
Mg 0.0000 2.8796 9.0721
Mg 0.0000 0.0000 9.0267
Nb 2.4900 0.0000 1.9072
Nb 2.4900 2.8796 7.4402
Mo 2.4900 2.8796 1.9181
Mo 2.4900 0.0000 7.4512
CELL_PARAMETERS angstrom
4.9801 0.0000 0.0000
0.0000 5.7592 0.0000
0.0000 0.0000 11.0661

Unit: kJ/mol of atoms. Relative energies: arrangement A 0.0; arrangement B 7.5.

Arrangement A

! Mg14NbMo | Materials Project | PBE-GGA | relaxed; values from VASP
! Magnetization, μB per formula unit: 1.98
! Symmetry: P-6m2
! ρ, g cm⁻³: 2.59
&SYSTEM
  ibrav = 0, nat = 16, ntyp = 3
/
ATOMIC_SPECIES
Mg 24.30 Mg.upf
Nb 92.91 Nb.upf
Mo 95.94 Mo.upf
ATOMIC_POSITIONS angstrom
Mg -1.5567 4.5539 1.2362
Mg -1.5673 4.5478 6.1810
Mg 3.1481 1.7975 1.2362
Mg 3.1481 1.8097 6.1810
Mg 1.5567 4.5539 1.2362
Mg 1.5673 4.5478 6.1810
Mg 1.4942 0.9549 3.7337
Mg 1.4942 0.9549 8.6284
Mg 0.0000 3.5429 3.7337
Mg 0.0000 3.5429 8.6284
Mg 4.8020 0.9549 3.7337
Mg 4.8020 0.9549 8.6284
Mg 3.1481 3.6351 3.6917
Mg 3.1481 3.6351 8.6704
Nb 0.0000 1.8175 1.2362
Mo 0.0000 1.8175 6.1810
CELL_PARAMETERS angstrom
6.2962 0.0000 0.0000
-3.1481 5.4526 0.0000
0.0000 0.0000 9.8897

Arrangement B

! Mg14NbMo | Materials Project | PBE-GGA | relaxed; values from VASP
! Magnetization, μB per formula unit: 0.00
! Symmetry: Amm2
! ρ, g cm⁻³: 2.59
&SYSTEM
  ibrav = 0, nat = 16, ntyp = 3
/
ATOMIC_SPECIES
Mg 24.30 Mg.upf
Nb 92.91 Nb.upf
Mo 95.94 Mo.upf
ATOMIC_POSITIONS angstrom
Mg -0.4631 -3.7479 5.3137
Mg 1.9185 -5.6258 5.0664
Mg -2.4247 -3.0113 -0.2202
Mg -3.2996 -4.7553 4.4016
Mg -0.0319 -4.9087 -0.4726
Mg -0.9319 -6.6328 4.1519
Mg -1.7380 -2.5289 2.6828
Mg -2.6553 -4.3297 7.5247
Mg 0.6573 -4.4283 2.4302
Mg -0.2601 -6.2290 7.2721
Mg -4.6586 -3.6568 1.7976
Mg -5.5477 -5.4020 6.4902
Mg -2.2805 -5.5295 1.4771
Mg -3.1936 -7.3220 6.2967
Nb 0.4498 -1.9839 0.7065
Mo 2.8232 -3.8716 0.4540
CELL_PARAMETERS angstrom
-5.7028 -2.0331 -1.8366
4.7525 -3.7687 -0.5012
-1.7542 -3.4437 9.2594

Unit: kJ/mol of atoms. Relative energies: arrangement A 4.8; arrangement B 0.0.